[1]
Computed, not measured: Ge2TeSe after structural relaxation at the PBE-GGA level of DFT.

Values from the calculation:
Magnetization, μB/f.u.: 0.0
Volume, A^3/atom: 24.72
Formation energy, eV per atom: -0.247

Geometry as POSCAR:
```
Ge2TeSe
1.0
6.828 -2.060 0.000
6.828 2.060 0.000
6.206 0.000 3.514
Ge Te Se
2 1 1
Direct
0.245 0.245 0.245
0.755 0.755 0.755
0.000 0.000 0.000
0.500 0.500 0.500
```

***

[2]
Computed, not measured: Ge3Te2Se after structural relaxation at the PBE-GGA level of DFT.

Values from the calculation:
Magnetization, μB/f.u.: 0.0
Volume, A^3/atom: 25.59
Formation energy, eV per atom: -0.181

Geometry as POSCAR:
```
Ge3Te2Se
1.0
2.082 -3.606 0.000
2.082 3.606 0.000
0.000 0.000 10.224
Ge Te Se
3 2 1
Direct
0.000 0.000 0.500
0.333 0.667 0.156
0.667 0.333 0.844
0.333 0.667 0.670
0.667 0.333 0.330
0.000 0.000 0.000
```

***

[3]
Computed, not measured: Tl2GeSe3 after structural relaxation at the PBE-GGA level of DFT.

Values from the calculation:
Volume, A^3/atom: 32.19
Formation energy, eV per atom: -0.614

Geometry as POSCAR:
```
Tl2GeSe3
1.0
7.093 0.000 0.000
-2.893 -6.636 0.000
-3.323 1.378 -8.206
Tl Ge Se
4 2 6
Direct
0.730 0.319 0.102
0.270 0.681 0.898
0.869 0.043 0.667
0.131 0.957 0.333
0.429 0.550 0.315
0.571 0.450 0.685
0.763 0.708 0.914
0.237 0.292 0.086
0.513 0.887 0.265
0.487 0.113 0.735
0.227 0.463 0.493
0.773 0.537 0.507
```

***

[4]
Computed, not measured: Tl4GeSe4 after structural relaxation at the PBE-GGA level of DFT.

Values from the calculation:
Magnetization, μB/f.u.: 0.0
Volume, A^3/atom: 31.51
Formation energy, eV per atom: -0.605

Geometry as POSCAR:
```
Tl4GeSe4
1.0
3.765 6.026 0.000
-3.765 6.026 0.000
0.000 4.603 24.999
Tl Ge Se
16 4 16
Direct
0.345 0.274 0.503
0.726 0.655 0.997
0.655 0.726 0.497
0.274 0.345 0.003
0.894 0.327 0.678
0.673 0.106 0.822
0.106 0.673 0.322
0.327 0.894 0.178
0.057 0.325 0.837
0.675 0.943 0.663
0.943 0.675 0.163
0.325 0.057 0.337
0.000 0.000 0.500
0.000 0.000 0.000
0.180 0.820 0.750
0.820 0.180 0.250
0.317 0.558 0.624
0.442 0.683 0.876
0.683 0.442 0.376
0.558 0.317 0.124
0.023 0.585 0.583
0.415 0.977 0.917
0.977 0.415 0.417
0.585 0.023 0.083
0.639 0.333 0.576
0.667 0.361 0.924
0.361 0.667 0.424
0.333 0.639 0.076
0.097 0.699 0.881
0.301 0.903 0.619
0.903 0.301 0.119
0.699 0.097 0.381
0.302 0.386 0.712
0.614 0.698 0.788
0.698 0.614 0.288
0.386 0.302 0.212
```

***

[5]
Computed, not measured: UGeSe after structural relaxation at the PBE-GGA level of DFT.

Values from the calculation:
Volume, A^3/atom: 21.62
Formation energy, eV per atom: -0.960

Geometry as POSCAR:
```
UGeSe
1.0
0.231 -2.860 8.251
-4.724 -0.417 7.337
1.187 -0.819 -8.616
U Ge Se
2 2 2
Direct
0.864 0.864 0.000
0.136 0.136 0.000
0.500 0.000 0.500
0.000 0.500 0.500
0.317 0.317 0.000
0.683 0.683 0.000
```

***

[6]
Computed, not measured: Si7Ge after structural relaxation at the PBE-GGA level of DFT.

Values from the calculation:
Volume, A^3/atom: 20.79
Formation energy, eV per atom: 0.008

Geometry as POSCAR:
```
Si7Ge
1.0
5.499 0.000 0.000
0.000 5.499 0.000
0.000 0.000 5.499
Si Ge
7 1
Direct
0.253 0.253 0.253
0.000 0.500 0.500
0.500 0.500 0.000
0.500 0.000 0.500
0.747 0.253 0.747
0.747 0.747 0.253
0.253 0.747 0.747
0.000 0.000 0.000
```

***

[7]
Computed, not measured: SrSiGe after structural relaxation at the PBE-GGA level of DFT.

Values from the calculation:
Magnetization, μB/f.u.: 0.0
Volume, A^3/atom: 24.57
Formation energy, eV per atom: -0.343

Geometry as POSCAR:
```
SrSiGe
1.0
2.167 -3.754 0.000
2.167 3.754 0.000
0.000 0.000 4.532
Sr Si Ge
1 1 1
Direct
0.667 0.333 0.000
0.333 0.667 0.500
0.000 0.000 0.500
```

***

[8]
Computed, not measured: TaSiGe after structural relaxation at the PBE-GGA level of DFT.

Values from the calculation:
Magnetization, μB/f.u.: 0.0
Volume, A^3/atom: 15.55
Formation energy, eV per atom: -0.324

Geometry as POSCAR:
```
TaSiGe
1.0
2.455 -4.253 0.000
2.455 4.253 0.000
0.000 0.000 6.701
Ta Si Ge
3 3 3
Direct
0.337 0.169 0.500
0.831 0.169 0.167
0.831 0.663 0.833
0.009 0.504 0.500
0.496 0.504 0.167
0.496 0.991 0.833
0.656 0.828 0.500
0.172 0.828 0.167
0.172 0.344 0.833
```

***

[9]
Computed, not measured: Tb2Si3Ge after structural relaxation at the PBE-GGA level of DFT.

Values from the calculation:
Magnetization, μB/f.u.: 0.0
Volume, A^3/atom: 20.18
Formation energy, eV per atom: -0.534

Geometry as POSCAR:
```
Tb2Si3Ge
1.0
-0.871 1.506 -3.566
2.276 3.194 0.793
6.747 -1.216 -4.370
Tb Si Ge
2 3 1
Direct
0.880 0.630 0.739
0.122 0.372 0.257
0.462 0.212 0.577
0.542 0.792 0.415
0.700 0.950 0.100
0.294 0.044 0.912
```

***

[10]
Computed, not measured: Tb2SiGe after structural relaxation at the PBE-GGA level of DFT.

Values from the calculation:
Volume, A^3/atom: 22.60
Formation energy, eV per atom: -0.842

Geometry as POSCAR:
```
Tb2SiGe
1.0
2.164 -5.340 0.000
2.164 5.340 0.000
0.000 0.000 3.912
Tb Si Ge
2 1 1
Direct
0.138 0.862 0.500
0.860 0.140 0.000
0.581 0.419 0.000
0.420 0.580 0.500
```

***

[11]
Computed, not measured: Th3SiGe after structural relaxation at the PBE-GGA level of DFT.

Values from the calculation:
Volume, A^3/atom: 26.11
Formation energy, eV per atom: -0.676

Geometry as POSCAR:
```
Th3SiGe
1.0
-2.631 1.348 2.884
-6.124 -2.433 -4.450
0.214 -7.124 3.526
Th Si Ge
6 2 2
Direct
0.000 0.500 0.500
0.000 0.000 0.000
0.500 0.178 0.678
0.500 0.822 0.322
0.500 0.317 0.183
0.500 0.683 0.817
0.000 0.887 0.613
0.000 0.113 0.387
0.000 0.618 0.118
0.000 0.382 0.882
```

***

[12]
Computed, not measured: ThSiGe after structural relaxation at the PBE-GGA level of DFT.

Values from the calculation:
Energy relative to the lowest polymorph listed for this composition, meV/atom: 29
Magnetization, μB/f.u.: 0.0
Volume, A^3/atom: 21.82
Formation energy, eV per atom: -0.539

Geometry as POSCAR:
```
ThSiGe
1.0
0.888 -0.057 8.320
-4.708 -0.270 6.912
2.028 -2.721 -7.648
Th Si Ge
2 2 2
Direct
0.582 0.582 0.000
0.332 0.832 0.500
0.000 0.000 0.000
0.750 0.250 0.500
0.164 0.164 0.000
0.914 0.414 0.500
```

***

[13]
Computed, not measured: ThSiGe after structural relaxation at the PBE-GGA level of DFT.

Values from the calculation:
Energy relative to the lowest polymorph listed for this composition, meV/atom: 0
Magnetization, μB/f.u.: 0.0
Volume, A^3/atom: 22.00
Formation energy, eV per atom: -0.569

Geometry as POSCAR:
```
ThSiGe
1.0
4.115 0.000 0.000
0.000 4.059 0.000
2.057 2.030 7.901
Th Si Ge
2 2 2
Direct
0.743 0.243 0.514
0.007 0.007 0.986
0.162 0.662 0.676
0.588 0.588 0.824
0.323 0.823 0.353
0.427 0.427 0.147
```

***

[14]
Computed, not measured: U2Si3Ge3 after structural relaxation at the PBE-GGA level of DFT.

Values from the calculation:
Magnetization, μB/f.u.: 0.0
Volume, A^3/atom: 17.43
Formation energy, eV per atom: -0.323

Geometry as POSCAR:
```
U2Si3Ge3
1.0
-2.118 3.525 0.168
-0.741 -0.252 -4.064
-6.862 -4.195 1.512
U Si Ge
2 3 3
Direct
0.000 0.000 0.246
0.000 0.000 0.754
0.000 0.500 0.000
0.500 0.000 0.500
0.500 0.000 0.000
0.500 0.500 0.245
0.500 0.500 0.755
0.000 0.500 0.500
```

***

[15]
Computed, not measured: V10Si3Ge3 after structural relaxation at the PBE-GGA level of DFT.

Values from the calculation:
Energy relative to the lowest polymorph listed for this composition, meV/atom: 44
Magnetization, μB/f.u.: 0.3
Volume, A^3/atom: 13.73
Formation energy, eV per atom: -0.414

Geometry as POSCAR:
```
V10Si3Ge3
1.0
-0.635 7.167 0.208
-3.921 -3.827 -4.668
-3.564 -0.412 3.331
V Si Ge
10 3 3
Direct
0.667 0.333 0.755
0.333 0.667 0.755
0.333 0.667 0.245
0.667 0.333 0.245
0.751 0.751 0.500
0.249 0.000 0.500
0.000 0.249 0.500
0.246 0.246 0.000
0.754 0.000 0.000
0.000 0.754 0.000
0.609 0.609 0.000
0.391 0.000 0.000
0.000 0.391 0.000
0.393 0.393 0.500
0.607 0.000 0.500
0.000 0.607 0.500
```

***

[16]
Computed, not measured: V6SiGe after structural relaxation at the PBE-GGA level of DFT.

Values from the calculation:
Volume, A^3/atom: 13.26
Formation energy, eV per atom: -0.400

Geometry as POSCAR:
```
V6SiGe
1.0
4.734 0.000 0.000
0.000 4.734 0.000
0.000 0.000 4.734
V Si Ge
6 1 1
Direct
0.000 0.500 0.755
0.500 0.245 0.000
0.755 0.000 0.500
0.000 0.500 0.245
0.500 0.755 0.000
0.245 0.000 0.500
0.000 0.000 0.000
0.500 0.500 0.500
```

***

[17]
Computed, not measured: V10Si3Ge3 after structural relaxation at the PBE-GGA level of DFT.

Values from the calculation:
Energy relative to the lowest polymorph listed for this composition, meV/atom: 0
Volume, A^3/atom: 13.55
Formation energy, eV per atom: -0.458

Geometry as POSCAR:
```
V10Si3Ge3
1.0
2.237 -1.668 9.073
-2.305 2.930 6.094
0.018 -5.993 3.837
V Si Ge
10 3 3
Direct
0.770 0.424 0.576
0.229 0.579 0.421
0.730 0.925 0.075
0.268 0.072 0.928
0.925 0.730 0.270
0.072 0.268 0.732
0.424 0.770 0.230
0.579 0.229 0.771
0.754 0.250 0.246
0.250 0.754 0.750
0.666 0.666 0.334
0.165 0.834 0.166
0.834 0.165 0.835
0.250 0.250 0.250
0.750 0.750 0.750
0.334 0.334 0.666
```

***

[18]
Computed, not measured: VSiGe after structural relaxation at the PBE-GGA level of DFT.

Values from the calculation:
Magnetization, μB/f.u.: 0.2
Volume, A^3/atom: 13.80
Formation energy, eV per atom: -0.291

Geometry as POSCAR:
```
VSiGe
1.0
0.529 -0.658 4.617
-3.246 -2.433 -2.361
4.363 -4.687 -1.168
V Si Ge
3 3 3
Direct
0.168 0.832 0.167
0.168 0.336 0.833
0.664 0.832 0.500
0.502 0.498 0.167
0.502 0.004 0.833
0.996 0.498 0.500
0.831 0.169 0.167
0.831 0.662 0.833
0.338 0.169 0.500
```

***

[19]
Computed, not measured: Si5GeW10 after structural relaxation at the PBE-GGA level of DFT.

Values from the calculation:
Magnetization, μB/f.u.: 0.0
Volume, A^3/atom: 14.78
Formation energy, eV per atom: -0.101

Geometry as POSCAR:
```
Si5GeW10
1.0
0.000 0.000 5.013
-4.856 4.856 2.507
-4.856 -4.856 -2.507
Si Ge W
5 1 10
Direct
0.331 0.500 0.163
0.669 0.500 0.837
0.831 0.837 0.500
0.169 0.163 0.500
0.250 0.000 0.000
0.750 0.000 0.000
0.422 0.848 0.697
0.572 0.152 0.303
0.928 0.303 0.152
0.078 0.697 0.848
0.725 0.697 0.152
0.270 0.303 0.848
0.775 0.152 0.697
0.230 0.848 0.303
0.250 0.500 0.500
0.750 0.500 0.500
```

***

[20]
Computed, not measured: Y10Si3Ge3 after structural relaxation at the PBE-GGA level of DFT.

Values from the calculation:
Volume, A^3/atom: 24.97
Formation energy, eV per atom: -0.775

Geometry as POSCAR:
```
Y10Si3Ge3
1.0
4.246 -7.355 0.000
4.246 7.355 0.000
0.000 0.000 6.395
Y Si Ge
10 3 3
Direct
0.333 0.667 0.253
0.667 0.333 0.253
0.667 0.333 0.747
0.333 0.667 0.747
0.000 0.755 0.000
0.245 0.245 0.000
0.755 0.000 0.000
0.000 0.245 0.500
0.755 0.755 0.500
0.245 0.000 0.500
0.000 0.608 0.500
0.392 0.392 0.500
0.608 0.000 0.500
0.000 0.392 0.000
0.608 0.608 0.000
0.392 0.000 0.000
```